Entry from the Materials Project database: a relaxed structure of Na3VO4 (PBE with a Hubbard U).

abc: 9.222 10.705 9.772
angles: 90.00 90.00 90.00
Element x y z (fractional)
Na1 0.039 0.098 0.123
Na2 0.039 0.402 0.623
Na3 0.115 0.640 0.040
Na4 0.115 0.860 0.540
Na5 0.222 0.124 0.734
Na6 0.222 0.376 0.234
Na7 0.278 0.624 0.734
Na8 0.278 0.876 0.234
Na9 0.385 0.140 0.040
Na10 0.385 0.360 0.540
Na11 0.461 0.598 0.123
Na12 0.461 0.902 0.623
Na13 0.539 0.098 0.377
Na14 0.539 0.402 0.877
Na15 0.615 0.640 0.460
Na16 0.615 0.860 0.960
Na17 0.722 0.124 0.766
Na18 0.722 0.376 0.266
Na19 0.778 0.624 0.766
Na20 0.778 0.876 0.266
Na21 0.885 0.140 0.460
Na22 0.885 0.360 0.960
Na23 0.961 0.598 0.377
Na24 0.961 0.902 0.877
V1 0.209 0.120 0.404
V2 0.209 0.380 0.904
V3 0.291 0.620 0.404
V4 0.291 0.880 0.904
V5 0.709 0.120 0.096
V6 0.709 0.380 0.596
V7 0.791 0.620 0.096
V8 0.791 0.880 0.596
O1 0.086 0.005 0.349
O2 0.086 0.495 0.849
O3 0.119 0.247 0.475
O4 0.119 0.253 0.975
O5 0.177 0.554 0.525
O6 0.177 0.946 0.025
O7 0.189 0.671 0.265
O8 0.189 0.829 0.765
O9 0.311 0.171 0.265
O10 0.311 0.329 0.765
O11 0.323 0.054 0.525
O12 0.323 0.446 0.025
O13 0.381 0.747 0.475
O14 0.381 0.753 0.975
O15 0.414 0.505 0.349
O16 0.414 0.995 0.849
O17 0.586 0.005 0.151
O18 0.586 0.495 0.651
O19 0.619 0.247 0.025
O20 0.619 0.253 0.525
O21 0.677 0.554 0.975
O22 0.677 0.946 0.475
O23 0.689 0.671 0.235
O24 0.689 0.829 0.735
O25 0.811 0.171 0.235
O26 0.811 0.329 0.735
O27 0.823 0.054 0.975
O28 0.823 0.446 0.475
O29 0.881 0.747 0.025
O30 0.881 0.753 0.525
O31 0.914 0.505 0.151
O32 0.914 0.995 0.651

Total energy after the MP2020 corrections: -6.35 eV per atom
SG: Pbca (61)
ρ: 2.53 Mg/m³
Energy relative to the elements: -2247 meV per atom
VASP energy: -370.98 eV for the cell shown